LiAl2 GGA-PBE optimized geometry; DFT formation energy = 240.8 meV/atom
1.0
0.000 4.795 4.795
4.795 0.000 4.795
4.795 4.795 0.000
Li Al
4 8
Cartesian
0.000 0.000 0.000
2.398 2.398 0.000
2.398 0.000 2.398
0.000 2.398 2.398
2.623 2.623 2.623
4.570 4.570 2.623
4.570 2.623 4.570
6.968 5.021 5.021
2.623 4.570 4.570
5.021 6.968 5.021
5.021 5.021 6.968
6.968 6.968 6.968


Tm4MgS7 GGA-PBE optimized geometry; DFT formation energy = -2229.3 meV/atom
1.0
6.239 -1.879 0.000
6.239 1.879 0.000
-2.909 0.000 11.006
Tm Mg S
4 1 7
Cartesian
0.000 0.000 0.000
3.084 0.000 6.603
6.167 0.000 4.029
6.320 0.000 8.824
9.443 0.000 2.404
-1.750 0.000 8.209
1.603 0.000 3.259
1.950 0.000 9.328
4.907 0.000 1.649
8.138 0.000 0.212
7.431 0.000 6.406
10.584 0.000 4.832